Entry from the Materials Project: crystalline Te4MoW3Se2S2 at its relaxed geometry (PBE).

a = 3.3952 Å, b = 3.3952 Å, c = 38.8154 Å
α = 90.00°, β = 90.00°, γ = 120.00°
Positions (direct):
Te1 0.0000 0.0000 0.0000
Te2 0.0000 0.0000 0.0965
Te3 0.6667 0.3333 0.1879
Te4 0.6667 0.3333 0.2849
Mo1 0.6667 0.3333 0.0482
W1 0.0000 0.0000 0.2364
W2 0.0000 0.0000 0.8605
W3 0.6667 0.3333 0.6726
Se1 0.6667 0.3333 0.8178
Se2 0.6667 0.3333 0.9031
S1 0.0000 0.0000 0.6338
S2 0.0000 0.0000 0.7115

Summary:
energy of formation	-0.455	eV per atom
space group	P3m1 (156)
volume	387	Å³/f.u.
energy above the most stable polymorph in this dataset	3	meV/atom


Entry from the Materials Project: crystalline DyTiClO3 at its relaxed geometry (PBE).

a = 5.2971 Å, b = 5.2971 Å, c = 9.9059 Å
α = 105.54°, β = 105.54°, γ = 43.46°
Positions (direct):
Dy1 0.2217 0.2217 0.2049
Dy2 0.7783 0.7783 0.7951
Ti1 0.3813 0.3813 0.5701
Ti2 0.6187 0.6187 0.4299
Cl1 0.1140 0.1140 0.9052
Cl2 0.8860 0.8860 0.0948
O1 0.1678 0.1678 0.4351
O2 0.3494 0.3494 0.7479
O3 0.4221 0.4221 0.3753
O4 0.5779 0.5779 0.6247
O5 0.6506 0.6506 0.2521
O6 0.8322 0.8322 0.5649

Summary:
energy of formation	-3.438	eV per atom
space group	C2/m (12)
volume	92	Å³/f.u.


Entry from the Materials Project: crystalline Nd14Ag51 at its relaxed geometry (PBE).

a = 13.0189 Å, b = 13.0189 Å, c = 9.5319 Å
α = 90.00°, β = 90.00°, γ = 120.00°
Positions (direct):
Nd1 0.0000 0.0000 0.1961
Nd2 0.0000 0.0000 0.8039
Nd3 0.1138 0.3841 0.5000
Nd4 0.1409 0.6716 0.0000
Nd5 0.2703 0.8862 0.5000
Nd6 0.3284 0.4693 0.0000
Nd7 0.4009 0.2829 0.5000
Nd8 0.4673 0.1390 0.0000
Nd9 0.5307 0.8591 0.0000
Nd10 0.6159 0.7297 0.5000
Nd11 0.6716 0.5327 0.0000
Nd12 0.7171 0.1180 0.5000
Nd13 0.8610 0.3284 0.0000
Nd14 0.8820 0.5991 0.5000
Ag1 0.0587 0.2376 0.0000
Ag2 0.0747 0.8052 0.2596
Ag3 0.0747 0.8052 0.7404
Ag4 0.1054 0.4378 0.1695
Ag5 0.1054 0.4378 0.8305
Ag6 0.1167 0.6197 0.3474
Ag7 0.1167 0.6197 0.6526
Ag8 0.1347 0.1160 0.5000
Ag9 0.1789 0.9413 0.0000
Ag10 0.1948 0.2695 0.2596
Ag11 0.1948 0.2695 0.7404
Ag12 0.2387 0.1791 0.0000
Ag13 0.2658 0.0746 0.2651
Ag14 0.2658 0.0746 0.7349
Ag15 0.3324 0.8946 0.1695
Ag16 0.3324 0.8946 0.8305
Ag17 0.3333 0.6667 0.2040
Ag18 0.3333 0.6667 0.5000
Ag19 0.3333 0.6667 0.7960
Ag20 0.3803 0.4970 0.3474
Ag21 0.3803 0.4970 0.6526
Ag22 0.4390 0.3336 0.1681
Ag23 0.4390 0.3336 0.8319
Ag24 0.4937 0.1159 0.3466
Ag25 0.4937 0.1159 0.6534
Ag26 0.5030 0.8833 0.3474
Ag27 0.5030 0.8833 0.6526
Ag28 0.5622 0.6676 0.1695
Ag29 0.5622 0.6676 0.8305
Ag30 0.6222 0.5063 0.3466
Ag31 0.6222 0.5063 0.6534
Ag32 0.6664 0.1055 0.1681
Ag33 0.6664 0.1055 0.8319
Ag34 0.6667 0.3333 0.2034
Ag35 0.6667 0.3333 0.5000
Ag36 0.6667 0.3333 0.7966
Ag37 0.7305 0.9253 0.2596
Ag38 0.7305 0.9253 0.7404
Ag39 0.7624 0.8211 0.0000
Ag40 0.8088 0.7342 0.2651
Ag41 0.8088 0.7342 0.7349
Ag42 0.8209 0.0596 0.0000
Ag43 0.8840 0.0187 0.5000
Ag44 0.8841 0.3778 0.3466
Ag45 0.8841 0.3778 0.6534
Ag46 0.8945 0.5610 0.1681
Ag47 0.8945 0.5610 0.8319
Ag48 0.9254 0.1912 0.2651
Ag49 0.9254 0.1912 0.7349
Ag50 0.9404 0.7613 0.0000
Ag51 0.9813 0.8653 0.5000

Summary:
energy of formation	-0.248	eV per atom
space group	P-6 (174)
volume	1399	Å³/f.u.


Entry from the Materials Project: crystalline Ti2MnSi at its relaxed geometry (PBE).

a = 4.2611 Å, b = 4.2611 Å, c = 4.2611 Å
α = 60.00°, β = 60.00°, γ = 60.00°
Positions (direct):
Ti1 0.0000 0.0000 0.0000
Ti2 0.2500 0.2500 0.2500
Mn1 0.7500 0.7500 0.7500
Si1 0.5000 0.5000 0.5000

Summary:
energy of formation	-0.334	eV per atom
space group	F-43m (216)
volume	55	Å³/f.u.


Total DFT energy (no corrections) values (in eV/atom) by entry order: -6.83, -7.96, -3.50, -7.95.